# ScSi2 PBE-GGA relaxed
data_ScSi2
_chemical_formula_sum 'Sc1 Si2'
_cell_length_a 4.0387
_cell_length_b 4.0387
_cell_length_c 3.5961
_cell_angle_alpha 90.00
_cell_angle_beta 90.00
_cell_angle_gamma 120.00
_symmetry_space_group_name_H-M 'P 6/m m m'
_symmetry_Int_Tables_number 191
_symmetry_space_group_name_Hall '-P 6 2'
loop_
_atom_site_label
_atom_site_type_symbol
_atom_site_fract_x
_atom_site_fract_y
_atom_site_fract_z
_atom_site_occupancy
Sc1 Sc 0.0000 0.0000 0.0000 1
Si1 Si 0.3333 0.6667 0.5000 1
# Electronic total energy ... -18.29 eV/cell
# Energy of formation from the pure elements ... -0.323 eV per atom
# Spin magnetization ... 0.00 μB per cell